LiV2P4H2O16 | PBE with a Hubbard U | relaxed

Calculated values
Its crystal system is monoclinic. Its calculated total energy is -6.933 eV/atom. The calculation puts the calculated density at 2.96 g/cm³. As for the energy with MP2020 corrections: -7.51 eV per atom. The energy of formation from the pure elements comes out at -2.40 eV per atom. The calculation puts the energy above the most stable polymorph in this dataset at 0.002 eV/atom.

```
LiV2P4H2O16
1.0
7.906 0.000 0.000
0.000 7.359 0.000
0.000 2.434 9.453
V P O Li H
4 8 32 2 4
Direct
0.506 0.261 0.621
0.995 0.743 0.875
0.006 0.739 0.379
0.495 0.257 0.125
0.150 0.018 0.564
0.356 0.524 0.307
0.156 0.012 0.062
0.349 0.516 0.812
0.856 0.476 0.693
0.656 0.988 0.938
0.650 0.982 0.436
0.849 0.484 0.188
0.558 0.799 0.503
0.058 0.201 0.497
0.826 0.612 0.787
0.175 0.578 0.357
0.544 0.814 0.997
0.343 0.383 0.709
0.443 0.695 0.745
0.328 0.065 0.614
0.444 0.402 0.946
0.557 0.097 0.303
0.176 0.887 0.956
0.326 0.388 0.213
0.944 0.598 0.054
0.452 0.699 0.244
0.441 0.403 0.447
0.675 0.422 0.643
0.161 0.888 0.459
0.055 0.903 0.195
0.044 0.186 0.003
0.676 0.113 0.044
0.828 0.935 0.386
0.670 0.441 0.146
0.843 0.617 0.291
0.329 0.069 0.104
0.941 0.597 0.553
0.943 0.305 0.255
0.057 0.903 0.697
0.555 0.097 0.805
0.829 0.931 0.896
0.661 0.112 0.541
0.170 0.559 0.854
0.952 0.301 0.756
0.870 0.101 0.175
0.370 0.899 0.825
0.510 0.759 0.608
0.508 0.765 0.106
0.010 0.241 0.392
0.008 0.235 0.894
```